Computed, not measured: a relaxed structure of Nb5Cr3Se20 at the GGA-PBE level of DFT.

```
Nb5Cr3Se20
1.0
10.519 0.000 0.000
0.000 3.544 0.000
-2.374 0.000 17.192
Nb Cr Se
5 3 20
Direct
0.000 0.000 0.000 Nb
0.050 0.500 0.776 Nb
0.496 0.000 0.499 Nb
0.547 0.500 0.276 Nb
0.912 0.000 0.362 Nb
0.154 0.500 0.414 Cr
0.386 0.000 0.857 Cr
0.664 0.500 0.919 Cr
0.056 0.000 0.660 Se
0.120 0.000 0.309 Se
0.152 0.000 0.881 Se
0.184 0.500 0.054 Se
0.237 0.000 0.512 Se
0.305 0.500 0.757 Se
0.365 0.000 0.220 Se
0.392 0.500 0.395 Se
0.446 0.500 0.959 Se
0.490 0.500 0.616 Se
0.554 0.000 0.159 Se
0.604 0.000 0.817 Se
0.650 0.000 0.381 Se
0.679 0.500 0.554 Se
0.745 0.000 0.019 Se
0.806 0.500 0.259 Se
0.866 0.000 0.721 Se
0.898 0.500 0.894 Se
0.947 0.500 0.473 Se
0.995 0.500 0.116 Se
```

Its magnetization is 7.60 μB/cell. For the formation energy, the calculation gives -0.95 eV/atom. The value obtained for the final energy is -5.95 eV per atom.